(1)
DFT (GGA+U) results for an optimized crystal structure of Sr2FeCoO6.

Cell lengths 3.8646, 3.8646, 7.8722 Å; angles 90.00, 90.00, 90.00 degrees
With the nearest neighbours (Å) after each atom.
Space group P4/mmm (No. 123)
Asymmetric unit:
Sr (0.0000, 0.0000, 0.2467) x2  12 O 2.73-2.78
Fe (0.5000, 0.5000, 0.5000) x1  6 O 1.93-1.96
Co (0.5000, 0.5000, 0.0000) x1  6 O 1.93-1.97
O (0.0000, 0.5000, 0.0000) x2  2 Co 1.93
O (0.0000, 0.5000, 0.5000) x2  2 Fe 1.93
O (0.5000, 0.5000, 0.2505) x2  1 Fe 1.96, 1 Co 1.97

Energy relative to the elements (eV per formula unit): -20.770

---

(2)
DFT (GGA+U) results for an optimized crystal structure of Ca2MnIrO6.

Cell lengths 5.4537, 5.6660, 9.4596 Å; angles 90.00, 125.01, 90.00 degrees
With the nearest neighbours (Å) after each atom.
Space group P2_1/c (No. 14)
Asymmetric unit:
Ca (0.2353, 0.0598, 0.2499) x4  6 O 2.32-2.59
Mn (0.5000, 0.0000, 0.0000) x2  6 O 2.07-2.12
Ir (0.0000, 0.0000, 0.5000) x2  6 O 1.97-1.98
O (0.1338, 0.2086, 0.9471) x4  1 Ir 1.98, 1 Mn 2.12
O (0.2422, 0.6921, 0.9490) x4  1 Ir 1.97, 1 Mn 2.12
O (0.3431, 0.0341, 0.7427) x4  1 Ir 1.97, 1 Mn 2.07

Energy relative to the elements (eV per formula unit): -22.980

---

(3)
DFT (GGA+U) results for an optimized crystal structure of Li6CrCo3P6O24.

Cell lengths 8.4544, 8.5283, 8.5284 Å; angles 61.98, 62.14, 62.23 degrees
With the nearest neighbours (Å) after each atom.
Space group P1 (No. 1)
Asymmetric unit:
Li (0.0000, 0.0000, 0.0000) x1  4 O 2.09-2.24
Li (0.0866, 0.4983, 0.9258) x1  4 O 2.10-2.32
Li (0.2760, 0.8560, 0.6514) x1  3 O 2.00-2.14
Li (0.5221, 0.6869, 0.3026) x1  4 O 2.12-2.29
Li (0.7261, 0.3529, 0.1469) x1  3 O 2.02-2.18
Li (0.9037, 0.1206, 0.4897) x1  4 O 2.09-2.32
Cr (0.1085, 0.7028, 0.5092) x1  6 O 1.95-2.04
Co (0.3966, 0.9940, 0.7909) x1  6 O 1.90-2.06
Co (0.6049, 0.2086, 0.0070) x1  6 O 1.91-2.07
Co (0.8994, 0.4979, 0.3035) x1  6 O 1.91-2.12
P (0.0021, 0.3009, 0.6992) x1  4 O 1.53-1.56
P (0.2059, 0.0965, 0.1913) x1  4 O 1.53-1.57
P (0.2998, 0.5997, 0.1046) x1  4 O 1.54-1.57
P (0.5011, 0.3884, 0.6102) x1  4 O 1.52-1.57
P (0.7031, 0.8957, 0.4035) x1  4 O 1.53-1.57
P (0.7942, 0.8069, 0.9038) x1  4 O 1.52-1.57
O (0.0195, 0.2653, 0.2088) x1  1 P 1.56
O (0.0623, 0.4612, 0.6635) x1  1 P 1.53
O (0.1349, 0.5404, 0.1360) x1  1 P 1.57
O (0.1563, 0.1064, 0.7218) x1  1 P 1.55
O (0.1782, 0.9422, 0.3890) x1  1 P 1.57
O (0.2227, 0.0412, 0.0360) x1  1 P 1.53
O (0.2657, 0.6552, 0.2681) x1  1 P 1.54
O (0.2995, 0.7678, 0.9204) x1  1 P 1.55
O (0.3475, 0.5858, 0.5795) x1  1 P 1.57
O (0.3799, 0.1395, 0.1517) x1  1 P 1.53
O (0.4360, 0.2307, 0.6489) x1  1 P 1.52
O (0.4877, 0.4396, 0.0868) x1  1 P 1.54
O (0.5122, 0.9169, 0.5595) x1  1 P 1.53
O (0.5560, 0.3564, 0.7721) x1  1 P 1.52
O (0.6257, 0.8531, 0.8502) x1  1 P 1.52
O (0.6664, 0.3999, 0.4202) x1  1 P 1.57
O (0.7065, 0.0767, 0.2315) x1  1 P 1.55
O (0.7294, 0.7318, 0.3483) x1  1 P 1.57
O (0.7834, 0.9662, 0.9499) x1  1 P 1.54
O (0.8014, 0.6179, 0.0707) x1  1 P 1.57
O (0.8444, 0.2806, 0.8926) x1  1 P 1.56
O (0.8667, 0.8568, 0.4635) x1  1 P 1.54
O (0.9419, 0.3287, 0.5392) x1  1 P 1.55
O (0.9897, 0.7686, 0.7483) x1  1 P 1.57

Energy relative to the elements (eV per formula unit): -94.928

---

(4)
DFT (GGA+U) results for an optimized crystal structure of RbMg6MnO8.

Cell lengths 4.5654, 4.5654, 8.7041 Å; angles 90.00, 90.00, 90.00 degrees
With the nearest neighbours (Å) after each atom.
Space group P4/mmm (No. 123)
Asymmetric unit:
Rb (0.0000, 0.0000, 0.0000) x1  6 O 2.28-2.45
Mg (0.0000, 0.5000, 0.2534) x4  6 O 2.15-2.30
Mg (0.5000, 0.5000, 0.0000) x1  6 O 2.19-2.28
Mg (0.5000, 0.5000, 0.5000) x1  6 O 2.16-2.28
Mn (0.0000, 0.0000, 0.5000) x1  2 O 1.90
O (0.0000, 0.0000, 0.2817) x2  1 Mn 1.90
O (0.0000, 0.5000, 0.0000) x2  4 Mg 2.21-2.28, 2 Rb 2.28
O (0.0000, 0.5000, 0.5000) x2  4 Mg 2.15-2.28, 2 Mn 2.28
O (0.5000, 0.5000, 0.2518) x2  6 Mg 2.16-2.28

Energy relative to the elements (eV per formula unit): -38.175

---

(5)
DFT (GGA+U) results for an optimized crystal structure of La2Fe2O5.

Cell lengths 5.6953, 5.8620, 7.5356 Å; angles 90.00, 95.10, 90.00 degrees
With the nearest neighbours (Å) after each atom.
Space group C2 (No. 5)
Asymmetric unit:
La (0.0000, 0.0000, 0.0000) x2  1 O 2.21
La (0.0000, 0.0711, 0.5000) x2  8 O 2.53-2.64
Fe (0.0161, 0.5646, 0.7332) x4  5 O 2.00-2.12
O (0.0000, 0.6222, 0.0000) x2  2 Fe 2.05, 1 La 2.21
O (0.2298, 0.8363, 0.2939) x4  2 Fe 2.00-2.12
O (0.2368, 0.3166, 0.2824) x4  2 Fe 2.04-2.05

Energy relative to the elements (eV per formula unit): -23.751

---

(6)
DFT (GGA+U) results for an optimized crystal structure of NaMnH2C3O7.

Cell lengths 6.0120, 16.0538, 7.4752 Å; angles 90.00, 101.10, 90.00 degrees
With the nearest neighbours (Å) after each atom.
Space group P2_1/c (No. 14)
Asymmetric unit:
Na (0.0321, 0.1793, 0.2036) x4  4 O 2.34-2.55
Mn (0.2269, 0.1033, 0.7884) x4  6 O 2.16-2.26
H (0.3225, 0.0254, 0.1387) x4  1 O 0.99
H (0.4521, 0.1142, 0.1464) x4  1 O 1.00
C (0.0043, 0.5360, 0.0694) x4  2 O 1.27
C (0.2937, 0.6574, 0.7042) x4  2 O 1.27
C (0.4436, 0.7370, 0.7476) x4  2 O 1.26-1.28
O (0.0805, 0.6682, 0.6651) x4  1 C 1.27
O (0.0921, 0.1036, 0.4888) x4  1 C 1.27
O (0.1060, 0.5227, 0.2319) x4  1 C 1.27
O (0.3120, 0.0829, 0.0903) x4  2 H 0.99-1.00
O (0.3484, 0.2284, 0.7630) x4  1 C 1.28
O (0.3537, 0.6970, 0.2908) x4  1 C 1.26
O (0.3989, 0.5885, 0.7113) x4  1 C 1.27

Energy relative to the elements (eV per formula unit): -23.735

---

Short version: VASP energy = -6.140, -6.889, -6.630, -5.646, -7.484, -6.918 eV per atom, in the order given.
Short version: calculated density = 5.45, 5.87, 3.06, 3.79, 6.22, 2.14 g/cm3, in the order given.
Short version: energy with MP2020 corrections = -6.94, -7.47, -7.21, -6.09, -8.37, -7.38 eV/atom, in the order given.